Na2HfMgSiS2O12 after structural relaxation, computed with PBE.

Properties
Formation energy   -2639 meV per atom
Size of the total moment   0.000 μB per atom
Final energy   -6.7990 eV per atom

a = 15.5186 Å, b = 8.9693 Å, c = 22.7179 Å
α = 90.00°, β = 90.30°, γ = 90.00°
Last column: nearest neighbours and their distance in Å.
Space group Cc (No. 9)
Inequivalent atoms, fractional coordinates:
Na 0.0000 0.0012 0.0000 (multiplicity 4)  3 O 2.30-2.53
Na 0.1386 0.1774 0.0800 (multiplicity 4)  5 O 2.38-2.63
Na 0.1600 0.4794 0.6662 (multiplicity 4)  2 O 2.28-2.54
Na 0.1746 0.1771 0.7492 (multiplicity 4)  5 O 2.33-2.60
Na 0.3233 0.0035 0.8346 (multiplicity 4)  2 O 2.31-2.57
Na 0.3329 0.3191 0.9119 (multiplicity 4)  4 O 2.31-2.46
Hf 0.1548 0.4950 0.8217 (multiplicity 4)  3 O 1.94-2.11
Hf 0.3096 0.0047 0.4887 (multiplicity 4)  3 O 1.91-2.11
Hf 0.4802 0.5002 0.1552 (multiplicity 4)  6 O 1.95-2.15
Mg 0.1487 0.4950 0.5259 (multiplicity 4)  5 O 1.98-2.21
Mg 0.3186 0.0195 0.6925 (multiplicity 4)  4 O 1.96-2.18
Mg 0.4881 0.4990 0.3594 (multiplicity 4)  4 O 1.98-2.12
Si 0.1460 0.2048 0.9285 (multiplicity 4)  4 O 1.60-1.72
Si 0.1681 0.1571 0.5953 (multiplicity 4)  4 O 1.60-1.70
Si 0.3407 0.3481 0.7637 (multiplicity 4)  4 O 1.60-1.72
S 0.0058 0.3537 0.4255 (multiplicity 4)  4 O 1.46-1.51
S 0.1304 0.1482 0.2574 (multiplicity 4)  4 O 1.46-1.51
S 0.2976 0.3541 0.4258 (multiplicity 4)  4 O 1.46-1.51
S 0.3193 0.2872 0.0921 (multiplicity 4)  4 O 1.46-1.51
S 0.4642 0.1436 0.5925 (multiplicity 4)  4 O 1.46-1.52
S 0.4817 0.2076 0.2585 (multiplicity 4)  4 O 1.45-1.52
O 0.0014 0.1957 0.7054 (multiplicity 4)  1 S 1.52
O 0.0468 0.4133 0.3709 (multiplicity 4)  1 S 1.50
O 0.0528 0.4124 0.0874 (multiplicity 4)  1 S 1.47
O 0.0576 0.3855 0.4777 (multiplicity 4)  1 S 1.46
O 0.0621 0.3888 0.7631 (multiplicity 4)  1 S 1.52
O 0.0663 0.0951 0.9177 (multiplicity 4)  1 Si 1.60
O 0.0739 0.0627 0.5964 (multiplicity 4)  1 Si 1.69
O 0.0794 0.1185 0.2018 (multiplicity 4)  1 S 1.51
O 0.0894 0.0750 0.3076 (multiplicity 4)  1 S 1.46
O 0.1332 0.3136 0.2634 (multiplicity 4)  1 S 1.49
O 0.1422 0.3034 0.9876 (multiplicity 4)  1 Si 1.61
O 0.1566 0.3320 0.5843 (multiplicity 4)  1 Si 1.60
O 0.1644 0.3182 0.8701 (multiplicity 4)  1 Si 1.70
O 0.2180 0.0696 0.5382 (multiplicity 4)  1 Si 1.70, 1 Hf 1.91
O 0.2186 0.0901 0.2515 (multiplicity 4)  1 S 1.47
O 0.2195 0.1159 0.6547 (multiplicity 4)  1 Si 1.61
O 0.2401 0.4280 0.7632 (multiplicity 4)  1 Si 1.72
O 0.2414 0.1080 0.9299 (multiplicity 4)  1 Si 1.72
O 0.2416 0.3804 0.0869 (multiplicity 4)  1 S 1.47
O 0.2433 0.3764 0.3712 (multiplicity 4)  1 S 1.51
O 0.2542 0.4166 0.4771 (multiplicity 4)  1 S 1.46
O 0.3089 0.1881 0.4303 (multiplicity 4)  1 S 1.50
O 0.3112 0.1880 0.1427 (multiplicity 4)  1 S 1.46
O 0.3246 0.1701 0.7571 (multiplicity 4)  1 Si 1.62
O 0.3327 0.1983 0.0366 (multiplicity 4)  1 S 1.51
O 0.3824 0.4236 0.4197 (multiplicity 4)  1 S 1.46
O 0.3893 0.4224 0.7053 (multiplicity 4)  1 Si 1.67
O 0.3909 0.3908 0.8230 (multiplicity 4)  1 Si 1.60
O 0.3971 0.3860 0.0963 (multiplicity 4)  1 S 1.50
O 0.4067 0.1131 0.2487 (multiplicity 4)  1 S 1.46
O 0.4128 0.1135 0.5382 (multiplicity 4)  1 S 1.49
O 0.4184 0.0725 0.9291 (multiplicity 4)  1 S 1.51
O 0.4237 0.0817 0.6448 (multiplicity 4)  1 S 1.46
O 0.4711 0.3129 0.5962 (multiplicity 4)  1 S 1.52
O 0.4729 0.2990 0.3110 (multiplicity 4)  1 S 1.45
O 0.4910 0.3085 0.9208 (multiplicity 4)  1 S 1.48



Na6Hf4Mg4Si3S9O48 after structural relaxation, computed with PBE.

Properties
Formation energy   -2613 meV per atom
Size of the total moment   0.000 μB per atom
Final energy   -6.8316 eV per atom

a = 8.8395 Å, b = 15.4261 Å, c = 22.9678 Å
α = 90.31°, β = 90.02°, γ = 90.08°
Last column: nearest neighbours and their distance in Å.
Space group P1 (No. 1)
Inequivalent atoms, fractional coordinates:
Na 0.0000 0.0000 0.0000 (multiplicity 1)  3 O 2.38-2.56
Na 0.0028 0.3145 0.8303 (multiplicity 1)  3 O 2.35-2.63
Na 0.1122 0.4876 0.2536 (multiplicity 1)  5 O 2.31-2.55
Na 0.3509 0.9935 0.7534 (multiplicity 1)  5 O 2.29-2.46
Na 0.4501 0.8115 0.3273 (multiplicity 1)  4 O 2.42-2.68
Na 0.4547 0.5000 0.4929 (multiplicity 1)  2 O 2.33-2.55
Na 0.4797 0.8268 0.8308 (multiplicity 1)  6 O 2.47-2.66
Na 0.4815 0.1859 0.1652 (multiplicity 1)  2 O 2.22-2.41
Na 0.4875 0.4874 0.0031 (multiplicity 1)  3 O 2.35-2.53
Na 0.4985 0.1599 0.6555 (multiplicity 1)  1 O 2.33
Na 0.6087 0.9917 0.2429 (multiplicity 1)  4 O 2.31-2.48
Na 0.6189 0.3196 0.5808 (multiplicity 1)  4 O 2.33-2.51
Na 0.8290 0.8175 0.0858 (multiplicity 1)  5 O 2.32-2.56
Na 0.8419 0.4921 0.7425 (multiplicity 1)  4 O 2.31-2.46
Na 0.9539 0.6547 0.1587 (multiplicity 1)  4 O 2.40-2.67
Na 0.9664 0.6728 0.6566 (multiplicity 1)  1 O 2.27
Na 0.9684 0.9848 0.4952 (multiplicity 1)  6 O 2.50-2.76
Na 0.9902 0.3281 0.3212 (multiplicity 1)  3 O 2.30-2.56
Hf 0.4611 0.4877 0.3468 (multiplicity 1)  3 O 1.90-2.12
Hf 0.4672 0.1649 0.0121 (multiplicity 1)  4 O 1.93-2.13
Hf 0.4700 0.4875 0.8494 (multiplicity 1)  5 O 1.91-2.11
Hf 0.4728 0.8228 0.9783 (multiplicity 1)  4 O 1.93-2.10
Hf 0.4809 0.8260 0.4762 (multiplicity 1)  6 O 1.95-2.17
Hf 0.4884 0.4840 0.1382 (multiplicity 1)  5 O 1.96-2.18
Hf 0.9640 0.9909 0.6348 (multiplicity 1)  4 O 1.92-2.11
Hf 0.9781 0.3260 0.9785 (multiplicity 1)  4 O 1.92-2.11
Hf 0.9812 0.3224 0.4759 (multiplicity 1)  6 O 1.96-2.15
Hf 0.9839 0.9922 0.8507 (multiplicity 1)  5 O 1.92-2.09
Hf 0.9851 0.6653 0.5098 (multiplicity 1)  4 O 1.92-2.12
Hf 0.9846 0.9877 0.3482 (multiplicity 1)  6 O 1.93-2.14
Mg 0.4660 0.1585 0.8169 (multiplicity 1)  3 O 1.90-2.10
Mg 0.4714 0.1693 0.3071 (multiplicity 1)  4 O 1.93-2.16
Mg 0.4724 0.4952 0.6443 (multiplicity 1)  6 O 2.06-2.17
Mg 0.4759 0.8146 0.1779 (multiplicity 1)  3 O 1.90-2.10
Mg 0.4810 0.1536 0.5126 (multiplicity 1)  5 O 1.95-2.17
Mg 0.4871 0.8178 0.6776 (multiplicity 1)  2 O 1.87-2.05
Mg 0.9725 0.3196 0.1820 (multiplicity 1)  3 O 1.91-2.11
Mg 0.9728 0.6525 0.0146 (multiplicity 1)  4 O 1.94-2.13
Mg 0.9766 0.3177 0.6765 (multiplicity 1)  2 O 1.90-2.05
Mg 0.9775 0.6610 0.8115 (multiplicity 1)  6 O 2.02-2.18
Mg 0.9821 0.9949 0.1454 (multiplicity 1)  6 O 2.03-2.21
Mg 0.9891 0.6563 0.3158 (multiplicity 1)  3 O 1.92-2.13
Si 0.1201 0.5102 0.4090 (multiplicity 1)  4 O 1.60-1.67
Si 0.1282 0.8053 0.4077 (multiplicity 1)  4 O 1.58-1.67
Si 0.3218 0.3394 0.2417 (multiplicity 1)  4 O 1.60-1.70
Si 0.3236 0.3041 0.9077 (multiplicity 1)  4 O 1.58-1.68
Si 0.3405 0.0088 0.9075 (multiplicity 1)  4 O 1.61-1.70
Si 0.6291 0.6779 0.0795 (multiplicity 1)  4 O 1.62-1.68
Si 0.6897 0.3179 0.0809 (multiplicity 1)  4 O 1.57-1.66
Si 0.7692 0.8173 0.5811 (multiplicity 1)  4 O 1.59-1.67
Si 0.8214 0.1808 0.5792 (multiplicity 1)  4 O 1.61-1.66
S 0.1188 0.1759 0.0804 (multiplicity 1)  4 O 1.45-1.51
S 0.1214 0.4732 0.0805 (multiplicity 1)  4 O 1.46-1.52
S 0.1233 0.1375 0.7436 (multiplicity 1)  4 O 1.46-1.52
S 0.1235 0.8436 0.7444 (multiplicity 1)  4 O 1.47-1.52
S 0.1804 0.4924 0.7435 (multiplicity 1)  4 O 1.46-1.51
S 0.1805 0.8266 0.0800 (multiplicity 1)  4 O 1.46-1.52
S 0.1918 0.1569 0.4118 (multiplicity 1)  4 O 1.46-1.51
S 0.2625 0.6583 0.9106 (multiplicity 1)  4 O 1.46-1.51
S 0.2721 0.3263 0.5803 (multiplicity 1)  4 O 1.47-1.50
S 0.2736 0.9892 0.2433 (multiplicity 1)  4 O 1.46-1.52
S 0.3300 0.6391 0.2435 (multiplicity 1)  4 O 1.48-1.51
S 0.3338 0.6772 0.5807 (multiplicity 1)  4 O 1.47-1.50
S 0.3343 0.9712 0.5820 (multiplicity 1)  4 O 1.46-1.50
S 0.6203 0.0141 0.4084 (multiplicity 1)  4 O 1.46-1.52
S 0.6222 0.3032 0.4128 (multiplicity 1)  4 O 1.46-1.51
S 0.6228 0.6379 0.7458 (multiplicity 1)  4 O 1.47-1.50
S 0.6241 0.3443 0.7427 (multiplicity 1)  4 O 1.46-1.53
S 0.6245 0.9717 0.0815 (multiplicity 1)  4 O 1.47-1.52
S 0.6819 0.9922 0.7449 (multiplicity 1)  4 O 1.47-1.50
S 0.6863 0.6579 0.4103 (multiplicity 1)  4 O 1.45-1.51
S 0.7668 0.1584 0.9100 (multiplicity 1)  4 O 1.46-1.52
S 0.7702 0.4956 0.2461 (multiplicity 1)  4 O 1.47-1.49
S 0.8294 0.4712 0.5821 (multiplicity 1)  4 O 1.47-1.50
S 0.8294 0.8443 0.2425 (multiplicity 1)  4 O 1.46-1.53
S 0.8310 0.1348 0.2458 (multiplicity 1)  4 O 1.46-1.51
S 0.8318 0.8025 0.9111 (multiplicity 1)  4 O 1.46-1.52
S 0.8336 0.5132 0.9082 (multiplicity 1)  4 O 1.46-1.51
O 0.0470 0.0890 0.0829 (multiplicity 1)  1 S 1.48
O 0.0519 0.9043 0.4049 (multiplicity 1)  1 Si 1.67
O 0.0533 0.2233 0.7404 (multiplicity 1)  1 S 1.46
O 0.0536 0.4122 0.4211 (multiplicity 1)  1 Si 1.65
O 0.0537 0.7644 0.4673 (multiplicity 1)  1 Si 1.65
O 0.0562 0.5593 0.0705 (multiplicity 1)  1 S 1.47
O 0.0556 0.7576 0.7518 (multiplicity 1)  1 S 1.47
O 0.0572 0.5446 0.3478 (multiplicity 1)  1 Si 1.60
O 0.0595 0.4343 0.1332 (multiplicity 1)  1 S 1.46
O 0.0592 0.8865 0.6927 (multiplicity 1)  1 S 1.48
O 0.0600 0.2195 0.0263 (multiplicity 1)  1 S 1.51
O 0.0607 0.0927 0.7974 (multiplicity 1)  1 S 1.52
O 0.0774 0.9033 0.0834 (multiplicity 1)  1 S 1.50
O 0.0815 0.5705 0.4660 (multiplicity 1)  1 Si 1.64
O 0.0809 0.5696 0.7509 (multiplicity 1)  1 S 1.49
O 0.0834 0.4136 0.7404 (multiplicity 1)  1 S 1.49
O 0.0851 0.0805 0.6933 (multiplicity 1)  1 S 1.49
O 0.0857 0.0805 0.4047 (multiplicity 1)  1 S 1.51
O 0.0878 0.7478 0.0713 (multiplicity 1)  1 S 1.48
O 0.0893 0.9006 0.7971 (multiplicity 1)  1 S 1.52
O 0.0907 0.4162 0.0276 (multiplicity 1)  1 S 1.52
O 0.0925 0.2357 0.4173 (multiplicity 1)  1 S 1.50
O 0.0934 0.2277 0.1324 (multiplicity 1)  1 S 1.45
O 0.0990 0.7513 0.3501 (multiplicity 1)  1 Si 1.58
O 0.1384 0.3398 0.2392 (multiplicity 1)  1 Si 1.62
O 0.1417 0.3190 0.9176 (multiplicity 1)  1 Si 1.64
O 0.1494 0.9996 0.9046 (multiplicity 1)  1 Si 1.70
O 0.1627 0.6420 0.2470 (multiplicity 1)  1 S 1.48
O 0.1652 0.9781 0.5858 (multiplicity 1)  1 S 1.50
O 0.1665 0.6654 0.5740 (multiplicity 1)  1 S 1.50
O 0.1715 0.6688 0.8577 (multiplicity 1)  1 S 1.47
O 0.1726 0.6454 0.9631 (multiplicity 1)  1 S 1.46
O 0.1744 0.9799 0.2968 (multiplicity 1)  1 S 1.52
O 0.1754 0.3399 0.5274 (multiplicity 1)  1 S 1.50
O 0.1778 0.0007 0.1920 (multiplicity 1)  1 S 1.46
O 0.1785 0.3182 0.6327 (multiplicity 1)  1 S 1.47
O 0.2750 0.8189 0.1318 (multiplicity 1)  1 S 1.46
O 0.2763 0.5032 0.6921 (multiplicity 1)  1 S 1.46
O 0.2774 0.8410 0.0264 (multiplicity 1)  1 S 1.52
O 0.2794 0.1440 0.4651 (multiplicity 1)  1 S 1.46
O 0.2786 0.4833 0.7970 (multiplicity 1)  1 S 1.51
O 0.2837 0.1661 0.3596 (multiplicity 1)  1 S 1.46
O 0.2862 0.1642 0.0732 (multiplicity 1)  1 S 1.50
O 0.2894 0.4806 0.0824 (multiplicity 1)  1 S 1.49
O 0.2900 0.1412 0.7467 (multiplicity 1)  1 S 1.48
O 0.2913 0.8404 0.7411 (multiplicity 1)  1 S 1.49
O 0.3087 0.5033 0.4084 (multiplicity 1)  1 Si 1.67
O 0.3101 0.8200 0.4194 (multiplicity 1)  1 Si 1.64
O 0.3519 0.2511 0.8494 (multiplicity 1)  1 Si 1.58
O 0.3572 0.7294 0.6335 (multiplicity 1)  1 S 1.47
O 0.3605 0.4037 0.3001 (multiplicity 1)  1 Si 1.70, 1 Hf 1.90
O 0.3627 0.7366 0.9161 (multiplicity 1)  1 S 1.50
O 0.3634 0.9143 0.5300 (multiplicity 1)  1 S 1.50
O 0.3654 0.2475 0.5724 (multiplicity 1)  1 S 1.48
O 0.3665 0.5816 0.9028 (multiplicity 1)  1 S 1.51
O 0.3679 0.9095 0.2399 (multiplicity 1)  1 S 1.49
O 0.3697 0.5856 0.1923 (multiplicity 1)  1 S 1.48
O 0.3741 0.0648 0.2516 (multiplicity 1)  1 S 1.48
O 0.3740 0.0702 0.9638 (multiplicity 1)  1 Si 1.63
O 0.3753 0.4033 0.5840 (multiplicity 1)  1 S 1.50
O 0.3933 0.3954 0.1873 (multiplicity 1)  1 Si 1.65
O 0.3936 0.5971 0.2976 (multiplicity 1)  1 S 1.51
O 0.3942 0.7216 0.5277 (multiplicity 1)  1 S 1.50
O 0.3936 0.9320 0.6357 (multiplicity 1)  1 S 1.47
O 0.3966 0.7268 0.2407 (multiplicity 1)  1 S 1.48
O 0.3978 0.0577 0.5729 (multiplicity 1)  1 S 1.46
O 0.3981 0.2620 0.9667 (multiplicity 1)  1 Si 1.64
O 0.3997 0.0436 0.8457 (multiplicity 1)  1 Si 1.61
O 0.3999 0.4036 0.9040 (multiplicity 1)  1 Si 1.68
O 0.4018 0.2470 0.2472 (multiplicity 1)  1 Si 1.60
O 0.4048 0.9104 0.9181 (multiplicity 1)  1 Si 1.64
O 0.4065 0.5908 0.5841 (multiplicity 1)  1 S 1.48
O 0.5433 0.5846 0.0855 (multiplicity 1)  1 Si 1.63
O 0.5502 0.7234 0.7430 (multiplicity 1)  1 S 1.47
O 0.5540 0.7256 0.0204 (multiplicity 1)  1 Si 1.68
O 0.5559 0.2684 0.4667 (multiplicity 1)  1 S 1.47
O 0.5565 0.9241 0.4156 (multiplicity 1)  1 S 1.51
O 0.5586 0.0510 0.3547 (multiplicity 1)  1 S 1.47
O 0.5610 0.0579 0.0708 (multiplicity 1)  1 S 1.47
O 0.5615 0.2574 0.7498 (multiplicity 1)  1 S 1.46
O 0.5607 0.3935 0.4046 (multiplicity 1)  1 S 1.51
O 0.5611 0.5923 0.7983 (multiplicity 1)  1 S 1.50
O 0.5606 0.9353 0.1352 (multiplicity 1)  1 S 1.47
O 0.5638 0.3861 0.6895 (multiplicity 1)  1 S 1.48
O 0.5798 0.2321 0.0726 (multiplicity 1)  1 Si 1.65
O 0.5796 0.4048 0.0814 (multiplicity 1)  1 Si 1.66
O 0.5813 0.9153 0.7419 (multiplicity 1)  1 S 1.48
O 0.5825 0.7342 0.4184 (multiplicity 1)  1 S 1.51
O 0.5827 0.4033 0.7941 (multiplicity 1)  1 S 1.53
O 0.5900 0.5791 0.4062 (multiplicity 1)  1 S 1.49
O 0.5902 0.9128 0.0300 (multiplicity 1)  1 S 1.52
O 0.5909 0.0657 0.4606 (multiplicity 1)  1 S 1.46
O 0.5919 0.0725 0.7467 (multiplicity 1)  1 S 1.47
O 0.5936 0.2491 0.3616 (multiplicity 1)  1 S 1.46
O 0.5958 0.5826 0.6938 (multiplicity 1)  1 S 1.48
O 0.6095 0.7453 0.1330 (multiplicity 1)  1 Si 1.62
O 0.6406 0.1697 0.5705 (multiplicity 1)  1 Si 1.62
O 0.6604 0.8452 0.2427 (multiplicity 1)  1 S 1.49
O 0.6606 0.4747 0.5852 (multiplicity 1)  1 S 1.50
O 0.6639 0.1378 0.2534 (multiplicity 1)  1 S 1.49
O 0.6639 0.5040 0.9023 (multiplicity 1)  1 S 1.51
O 0.6641 0.8137 0.9165 (multiplicity 1)  1 S 1.50
O 0.6660 0.8324 0.5223 (multiplicity 1)  1 Si 1.65
O 0.6710 0.4894 0.2984 (multiplicity 1)  1 S 1.49
O 0.6731 0.8088 0.6390 (multiplicity 1)  1 Si 1.59
O 0.6738 0.5041 0.1931 (multiplicity 1)  1 S 1.49
O 0.6757 0.1448 0.9628 (multiplicity 1)  1 S 1.47
O 0.6779 0.1706 0.8573 (multiplicity 1)  1 S 1.46
O 0.7765 0.6723 0.3582 (multiplicity 1)  1 S 1.45
O 0.7793 0.6478 0.4638 (multiplicity 1)  1 S 1.49
O 0.7808 0.9833 0.7974 (multiplicity 1)  1 S 1.50
O 0.7823 0.9964 0.6927 (multiplicity 1)  1 S 1.49
O 0.7891 0.3300 0.0200 (multiplicity 1)  1 Si 1.66
O 0.7902 0.0036 0.4029 (multiplicity 1)  1 S 1.52
O 0.7906 0.3135 0.4189 (multiplicity 1)  1 S 1.50
O 0.7913 0.6445 0.7524 (multiplicity 1)  1 S 1.50
O 0.7926 0.3101 0.1365 (multiplicity 1)  1 Si 1.57
O 0.7931 0.3449 0.7430 (multiplicity 1)  1 S 1.49
O 0.7934 0.9747 0.0840 (multiplicity 1)  1 S 1.49
O 0.8109 0.6690 0.0703 (multiplicity 1)  1 Si 1.63
O 0.8438 0.2428 0.6351 (multiplicity 1)  1 Si 1.61
O 0.8595 0.0799 0.1938 (multiplicity 1)  1 S 1.48
O 0.8613 0.7501 0.8590 (multiplicity 1)  1 S 1.46
O 0.8633 0.4126 0.5312 (multiplicity 1)  1 S 1.50
O 0.8639 0.4168 0.2427 (multiplicity 1)  1 S 1.47
O 0.8640 0.5666 0.9593 (multiplicity 1)  1 S 1.46
O 0.8657 0.0785 0.9044 (multiplicity 1)  1 S 1.52
O 0.8671 0.5739 0.2485 (multiplicity 1)  1 S 1.48
O 0.8707 0.9031 0.2939 (multiplicity 1)  1 S 1.53
O 0.8720 0.2332 0.9173 (multiplicity 1)  1 S 1.49
O 0.8776 0.7323 0.5734 (multiplicity 1)  1 Si 1.63
O 0.8820 0.9041 0.5833 (multiplicity 1)  1 Si 1.67
O 0.8897 0.8860 0.1892 (multiplicity 1)  1 S 1.49
O 0.8918 0.7576 0.2495 (multiplicity 1)  1 S 1.46
O 0.8929 0.4350 0.6364 (multiplicity 1)  1 S 1.48
O 0.8934 0.5581 0.5729 (multiplicity 1)  1 S 1.47
O 0.8946 0.5502 0.8536 (multiplicity 1)  1 S 1.48
O 0.8950 0.8930 0.9020 (multiplicity 1)  1 S 1.52
O 0.8973 0.0896 0.2980 (multiplicity 1)  1 S 1.51
O 0.8970 0.4240 0.9147 (multiplicity 1)  1 S 1.50
O 0.8991 0.2210 0.2432 (multiplicity 1)  1 S 1.46
O 0.8995 0.2263 0.5217 (multiplicity 1)  1 Si 1.65
O 0.8998 0.7684 0.9643 (multiplicity 1)  1 S 1.46
O 0.9053 0.0847 0.5849 (multiplicity 1)  1 Si 1.66